[1]
# Zn2InGaO5

A geometry-optimized Zn2InGaO5 structure (PBE, the Materials Project).

a = 3.346 Å, b = 3.346 Å, c = 22.745 Å
α = 90.00°, β = 90.00°, γ = 120.00°
Fractional coordinates of all 18 atoms:
O (0.667, 0.333, 0.452)
O (0.333, 0.667, 0.750)
O (0.000, 0.000, 0.662)
In (0.000, 0.000, 0.000)
O (0.333, 0.667, 0.548)
In (0.000, 0.000, 0.500)
O (0.000, 0.000, 0.338)
Ga (0.000, 0.000, 0.750)
Zn (0.333, 0.667, 0.865)
Zn (0.333, 0.667, 0.635)
O (0.667, 0.333, 0.250)
O (0.333, 0.667, 0.952)
Ga (0.000, 0.000, 0.250)
O (0.667, 0.333, 0.048)
O (0.000, 0.000, 0.838)
O (0.000, 0.000, 0.162)
Zn (0.667, 0.333, 0.365)
Zn (0.667, 0.333, 0.135)

## Properties
Total magnetic moment ... 0.000 μB per atom
Calculated total energy ... -5.28 eV/atom
Crystal system ... hexagonal
ΔE_f ... -17.87 eV per formula unit
Space-group type ... P6_3/mmc

=====

[2]
# InGaSb2

A geometry-optimized InGaSb2 structure (PBE, the Materials Project).

a = 7.878 Å, b = 7.878 Å, c = 7.878 Å
α = 33.65°, β = 33.65°, γ = 33.65°
Fractional coordinates of all 4 atoms:
Sb (0.629, 0.629, 0.629)
Sb (0.121, 0.121, 0.121)
Ga (0.000, 0.000, 0.000)
In (0.500, 0.500, 0.500)

## Properties
Total magnetic moment ... 0.000 μB per atom
Calculated total energy ... -3.61 eV/atom
Crystal system ... trigonal
ΔE_f ... -0.79 eV per formula unit
E above lowest polymorph ... 0.0234 eV per atom
Space-group type ... R3m

=====

[3]
# InGaSb2

A geometry-optimized InGaSb2 structure (PBE, the Materials Project).

a = 4.564 Å, b = 4.564 Å, c = 6.396 Å
α = 90.00°, β = 90.00°, γ = 90.00°
Fractional coordinates of all 4 atoms:
Sb (0.500, 0.000, 0.767)
Sb (0.000, 0.500, 0.233)
Ga (0.000, 0.000, 0.000)
In (0.500, 0.500, 0.500)

## Properties
Calculated total energy ... -3.64 eV/atom
Crystal system ... tetragonal
ΔE_f ... -0.89 eV per formula unit
E above lowest polymorph ... 0.0000 eV per atom
Space-group type ... P-4m2

=====

[4]
# TlIn2GaSe4

A geometry-optimized TlIn2GaSe4 structure (PBE, the Materials Project).

a = 6.712 Å, b = 6.712 Å, c = 6.712 Å
α = 120.07°, β = 104.58°, γ = 104.32°
Fractional coordinates of all 8 atoms:
Se (0.168, 0.565, 0.064)
Se (0.499, 0.435, 0.603)
Se (0.832, 0.896, 0.397)
Se (0.501, 0.104, 0.936)
Tl (0.000, 0.000, 0.000)
In (0.000, 0.500, 0.500)
In (0.500, 0.000, 0.500)
Ga (0.500, 0.500, 0.000)

## Properties
Total magnetic moment ... 0.000 μB per atom
Calculated total energy ... -3.61 eV/atom
Crystal system ... orthorhombic
ΔE_f ... -5.88 eV per formula unit
Space-group type ... I222

=====

[5]
# Sr3In3Ga2

A geometry-optimized Sr3In3Ga2 structure (PBE, the Materials Project).

a = 6.393 Å, b = 6.393 Å, c = 16.402 Å
α = 90.00°, β = 90.00°, γ = 134.73°
Fractional coordinates of all 16 atoms:
Ga (0.792, 0.208, 0.900)
In (0.338, 0.662, 0.250)
Sr (0.912, 0.088, 0.391)
Sr (0.630, 0.370, 0.250)
Ga (0.208, 0.792, 0.400)
Sr (0.088, 0.912, 0.609)
In (0.379, 0.621, 0.535)
Ga (0.208, 0.792, 0.100)
Ga (0.792, 0.208, 0.600)
In (0.621, 0.379, 0.035)
Sr (0.088, 0.912, 0.891)
In (0.621, 0.379, 0.465)
Sr (0.370, 0.630, 0.750)
Sr (0.912, 0.088, 0.109)
In (0.379, 0.621, 0.965)
In (0.662, 0.338, 0.750)

## Properties
Total magnetic moment ... 0.000 μB per atom
Calculated total energy ... -2.87 eV/atom
Crystal system ... orthorhombic
ΔE_f ... -3.57 eV per formula unit
Space-group type ... Cmcm

=====

[6]
# InGaTe2

A geometry-optimized InGaTe2 structure (PBE, the Materials Project).

a = 6.954 Å, b = 6.954 Å, c = 6.954 Å
α = 103.91°, β = 103.91°, γ = 121.27°
Fractional coordinates of all 8 atoms:
Te (0.671, 0.171, 0.843)
In (0.250, 0.250, 0.000)
Te (0.171, 0.329, 0.500)
In (0.750, 0.750, 0.000)
Ga (0.250, 0.750, 0.500)
Te (0.829, 0.671, 0.500)
Te (0.329, 0.829, 0.157)
Ga (0.750, 0.250, 0.500)

## Properties
Total magnetic moment ... 0.000 μB per atom
Calculated total energy ... -3.31 eV/atom
Crystal system ... tetragonal
ΔE_f ... -2.01 eV per formula unit
Space-group type ... I4/mcm

=====

[7]
# TlIn2GaTe4

A geometry-optimized TlIn2GaTe4 structure (PBE, the Materials Project).

a = 7.054 Å, b = 7.054 Å, c = 7.054 Å
α = 119.83°, β = 104.59°, γ = 104.51°
Fractional coordinates of all 8 atoms:
Ga (0.500, 0.000, 0.500)
Tl (0.000, 0.500, 0.500)
In (0.500, 0.500, 0.000)
In (0.000, 0.000, 0.000)
Te (0.500, 0.594, 0.443)
Te (0.150, 0.057, 0.557)
Te (0.500, 0.943, 0.093)
Te (0.850, 0.406, 0.907)

## Properties
Total magnetic moment ... 0.000 μB per atom
Calculated total energy ... -3.26 eV/atom
Crystal system ... orthorhombic
ΔE_f ... -4.27 eV per formula unit
Space-group type ... I222

=====

[8]
# Ga5Ir3

A geometry-optimized Ga5Ir3 structure (PBE, the Materials Project).

a = 5.879 Å, b = 5.879 Å, c = 14.424 Å
α = 90.00°, β = 90.00°, γ = 90.00°
Fractional coordinates of all 32 atoms:
Ir (0.500, 0.000, 0.750)
Ga (0.329, 0.171, 0.250)
Ga (0.303, 0.658, 0.349)
Ga (0.671, 0.829, 0.250)
Ga (0.151, 0.270, 0.448)
Ir (0.000, 0.000, 0.000)
Ga (0.842, 0.197, 0.151)
Ga (0.230, 0.349, 0.052)
Ga (0.658, 0.697, 0.651)
Ga (0.730, 0.151, 0.552)
Ga (0.849, 0.730, 0.448)
Ir (0.000, 0.500, 0.586)
Ga (0.829, 0.329, 0.750)
Ir (0.500, 0.000, 0.414)
Ga (0.803, 0.842, 0.849)
Ga (0.197, 0.158, 0.849)
Ga (0.270, 0.849, 0.552)
Ga (0.651, 0.230, 0.948)
Ga (0.171, 0.671, 0.750)
Ir (0.500, 0.500, 0.171)
Ir (0.000, 0.000, 0.671)
Ga (0.770, 0.651, 0.052)
Ga (0.158, 0.803, 0.151)
Ir (0.500, 0.500, 0.500)
Ga (0.697, 0.342, 0.349)
Ir (0.000, 0.500, 0.914)
Ga (0.342, 0.303, 0.651)
Ir (0.500, 0.000, 0.086)
Ir (0.000, 0.500, 0.250)
Ir (0.000, 0.000, 0.329)
Ir (0.500, 0.500, 0.829)
Ga (0.349, 0.770, 0.948)

## Properties
Calculated total energy ... -5.69 eV/atom
Crystal system ... tetragonal
ΔE_f ... -3.86 eV per formula unit
E above lowest polymorph ... 0.0000 eV per atom
Space-group type ... P-4n2

=====

[9]
# Ga5Ir3

A geometry-optimized Ga5Ir3 structure (PBE, the Materials Project).

a = 5.876 Å, b = 5.876 Å, c = 15.161 Å
α = 90.00°, β = 90.00°, γ = 90.00°
Fractional coordinates of all 32 atoms:
Ir (0.500, 0.500, 0.176)
Ga (0.672, 0.313, 0.653)
Ga (0.828, 0.813, 0.153)
Ir (0.500, 0.000, 0.750)
Ga (0.172, 0.187, 0.153)
Ir (0.000, 0.500, 0.440)
Ga (0.687, 0.672, 0.347)
Ir (0.500, 0.000, 0.940)
Ga (0.683, 0.183, 0.250)
Ir (0.000, 0.000, 0.324)
Ir (0.000, 0.000, 0.000)
Ga (0.187, 0.828, 0.847)
Ga (0.158, 0.258, 0.557)
Ga (0.313, 0.328, 0.347)
Ir (0.000, 0.000, 0.676)
Ga (0.658, 0.242, 0.057)
Ga (0.842, 0.742, 0.557)
Ga (0.342, 0.758, 0.057)
Ir (0.500, 0.500, 0.500)
Ga (0.242, 0.342, 0.943)
Ir (0.500, 0.500, 0.824)
Ga (0.258, 0.842, 0.443)
Ga (0.317, 0.817, 0.250)
Ga (0.813, 0.172, 0.847)
Ir (0.000, 0.500, 0.250)
Ir (0.000, 0.500, 0.060)
Ga (0.817, 0.683, 0.750)
Ir (0.500, 0.000, 0.560)
Ga (0.183, 0.317, 0.750)
Ga (0.742, 0.158, 0.443)
Ga (0.328, 0.687, 0.653)
Ga (0.758, 0.658, 0.943)

## Properties
Total magnetic moment ... 0.000 μB per atom
Calculated total energy ... -5.48 eV/atom
Crystal system ... tetragonal
ΔE_f ... -2.19 eV per formula unit
E above lowest polymorph ... 0.2089 eV per atom
Space-group type ... P-4n2

=====

[10]
# LiGaIr

A geometry-optimized LiGaIr structure (PBE, the Materials Project).

a = 4.076 Å, b = 4.076 Å, c = 5.515 Å
α = 90.00°, β = 90.00°, γ = 120.00°
Fractional coordinates of all 6 atoms:
Li (0.333, 0.667, 0.750)
Ga (0.333, 0.667, 0.250)
Ga (0.667, 0.333, 0.750)
Ir (0.000, 0.000, 0.500)
Li (0.667, 0.333, 0.250)
Ir (0.000, 0.000, 0.000)

## Properties
Calculated total energy ... -5.03 eV/atom
Crystal system ... hexagonal
ΔE_f ... -1.31 eV per formula unit
Space-group type ... P6_3/mmc

=====

[11]
# Li2GaIr

A geometry-optimized Li2GaIr structure (PBE, the Materials Project).

a = 4.243 Å, b = 4.243 Å, c = 4.243 Å
α = 60.00°, β = 60.00°, γ = 60.00°
Fractional coordinates of all 4 atoms:
Li (0.500, 0.500, 0.500)
Li (0.750, 0.750, 0.750)
Ir (0.000, 0.000, 0.000)
Ga (0.250, 0.250, 0.250)

## Properties
Calculated total energy ... -4.35 eV/atom
Crystal system ... cubic
ΔE_f ... -1.73 eV per formula unit
Space-group type ... F-43m

=====

[12]
# MnGaIr

A geometry-optimized MnGaIr structure (PBE, the Materials Project).

a = 4.118 Å, b = 4.118 Å, c = 4.118 Å
α = 60.00°, β = 60.00°, γ = 60.00°
Fractional coordinates of all 3 atoms:
Mn (0.500, 0.500, 0.500)
Ga (0.250, 0.250, 0.250)
Ir (0.000, 0.000, 0.000)

## Properties
Total magnetic moment ... 1.353 μB per atom
Calculated total energy ... -6.95 eV/atom
Crystal system ... cubic
ΔE_f ... 0.18 eV per formula unit
Space-group type ... F-43m